1.
## MgMn12O17F7 (PBE with a Hubbard U)

Data for a relaxed MgMn12O17F7 crystal.

Structure (POSCAR):
```
MgMn12O17F7
1.0
4.7890 -0.0408 0.0917
-0.0497 5.7317 0.0926
0.3018 0.2438 15.0377
O Mn Mg F
17 12 1 7
Cartesian
4.1621 2.5284 10.1421
1.2176 3.3132 4.8124
1.2406 1.0010 14.6123
1.3863 2.3191 7.4343
1.1815 4.9343 7.3628
3.3576 3.5289 3.0732
1.7038 2.5671 12.3038
3.7479 3.8418 13.1663
1.1362 0.5607 4.5039
1.2643 5.4428 12.2191
1.7073 0.9797 9.7406
0.9956 5.0811 2.1164
1.8088 3.7306 9.8455
3.3378 2.1518 5.4998
3.3854 2.2463 0.5654
1.2816 2.3040 2.2749
3.4649 3.7169 7.8839
2.6834 2.3072 8.9634
0.0200 1.0220 1.2325
2.3032 2.0236 3.8852
0.0713 4.7774 3.7488
5.0089 5.1585 13.9170
2.6575 4.0521 11.6443
2.3271 3.6671 1.5090
2.3196 3.5732 6.3067
0.2936 3.7519 8.7090
0.2016 0.9647 6.1987
2.6587 2.2896 13.9514
0.5026 1.2305 11.2049
2.5718 5.3011 8.8212
3.9019 5.2130 10.4055
1.5002 3.8627 14.9171
3.7400 0.9386 7.9790
3.4949 5.0483 0.5416
3.6227 0.7594 2.9717
3.9477 1.0226 12.7436
3.6146 4.9323 5.5078
```

Values from the calculation:
* crystal system: triclinic
* energy above the most stable polymorph in this dataset: 0 meV per atom
* electronic total energy: -6.836 eV per atom
* magnetization: 1.21 μB per atom
* energy relative to the elements: -2.1299 eV per atom

=====

2.
## MgMn2O2F2 (PBE with a Hubbard U)

Data for a relaxed MgMn2O2F2 crystal.

Structure (POSCAR):
```
MgMn2O2F2
1.0
5.6001 0.8461 0.0000
0.2409 5.6585 0.0000
0.0000 0.0000 3.1490
Mn O F Mg
2 2 2 1
Cartesian
3.0820 3.4323 1.5745
5.2206 5.8138 0.0000
1.9491 2.1706 0.0000
3.9545 4.4039 0.0000
4.8213 1.7877 1.5745
1.2605 4.9852 1.5745
1.2098 1.3473 1.5745
```

Values from the calculation:
* crystal system: orthorhombic
* energy above the most stable polymorph in this dataset: 213 meV per atom
* electronic total energy: -6.418 eV per atom
* magnetization: 1.43 μB per atom
* energy relative to the elements: -2.4157 eV per atom

=====

3.
## MgMn6O7F5 (PBE with a Hubbard U)

Data for a relaxed MgMn6O7F5 crystal.

Structure (POSCAR):
```
MgMn6O7F5
1.0
1.2000 -7.8577 2.8721
-4.7601 -2.6044 2.4927
-2.4498 -4.2198 -3.2752
F Mg Mn O
5 1 6 7
Cartesian
-3.4441 -8.6318 1.1200
-2.4475 -6.0457 0.9334
-5.8896 -8.5942 0.0247
-0.0309 -6.1011 2.0541
-2.8891 -10.8935 3.6789
-4.1790 -9.4421 -0.6063
-1.5618 -7.8369 1.6309
-2.0199 -3.0968 0.0766
-4.3333 -6.8461 0.4387
-2.4861 -4.2155 -3.1195
-3.9322 -11.6766 1.9130
-6.5638 -10.7508 0.6436
-0.8753 -8.1914 -0.1132
-3.6478 -7.6063 -1.2889
-2.2781 -7.0541 3.3368
-0.3908 -8.9565 2.5923
-5.6249 -5.7283 -0.3800
-3.2068 -3.8004 -1.3998
-4.9970 -6.5349 2.1885
```

Values from the calculation:
* crystal system: triclinic
* energy above the most stable polymorph in this dataset: 8 meV per atom
* electronic total energy: -6.800 eV per atom
* magnetization: 1.32 μB per atom
* energy relative to the elements: -2.3969 eV per atom